(1)
MgNiHO2 | the Materials Project database | PBE+U | relaxed; electronic total energy = -4.3698 eV per atom; E (MP2020) = -5.1528 eV/atom; magnetic moment = 1.02 μB per formula unit; space-group type = P3m1; V = 9.2 A^3/atom; excess energy over the best structure of this formula in the dataset = 40.3 kJ/mol of atoms
1.0
3.125 0.000 0.000
-1.562 2.706 0.000
0.000 0.000 5.423
Mg Ni H O
1 1 1 2
Direct
0.000 0.000 0.000
0.333 0.667 0.551
0.667 0.333 0.210
0.000 0.000 0.378
0.667 0.333 0.807

(2)
MgMnCo5O12 | the Materials Project database | PBE+U | relaxed; electronic total energy = -5.9946 eV per atom; E (MP2020) = -6.9473 eV/atom; magnetic moment = 3.98 μB per formula unit; space-group type = Cm; V = 10.7 A^3/atom; excess energy over the best structure of this formula in the dataset = 2.1 kJ/mol of atoms
1.0
2.448 -4.242 0.000
2.448 4.242 0.000
-1.311 0.000 9.824
Mg Mn Co O
1 1 5 12
Direct
0.000 0.000 0.000
0.077 0.077 0.273
0.265 0.931 0.750
0.404 0.738 0.253
0.596 0.596 0.750
0.738 0.404 0.253
0.931 0.265 0.750
0.044 0.363 0.153
0.098 0.745 0.353
0.240 0.574 0.659
0.281 0.281 0.854
0.363 0.044 0.153
0.451 0.451 0.354
0.574 0.240 0.659
0.636 0.958 0.854
0.726 0.726 0.153
0.745 0.098 0.353
0.906 0.906 0.657
0.958 0.636 0.854

(3)
MnReC10O10 | the Materials Project database | PBE+U | relaxed; electronic total energy = -7.9450 eV per atom; E (MP2020) = -8.3331 eV/atom; magnetic moment = 0.00 μB per formula unit; space-group type = C2; V = 18.0 A^3/atom
1.0
9.114 -3.647 0.000
9.114 3.647 0.000
-8.871 0.000 11.889
Mn Re C O
2 2 20 20
Direct
0.071 0.071 0.473
0.929 0.929 0.527
0.397 0.464 0.027
0.536 0.603 0.973
0.151 0.164 0.449
0.196 0.499 0.876
0.197 0.755 0.099
0.202 0.744 0.594
0.245 0.803 0.901
0.256 0.798 0.406
0.257 0.036 0.613
0.311 0.365 0.052
0.501 0.804 0.124
0.546 0.394 0.825
0.606 0.454 0.175
0.612 0.180 0.957
0.635 0.689 0.948
0.666 0.131 0.462
0.820 0.388 0.043
0.836 0.849 0.551
0.869 0.334 0.538
0.875 0.079 0.335
0.921 0.125 0.665
0.964 0.743 0.387
0.077 0.916 0.856
0.078 0.522 0.789
0.084 0.923 0.144
0.202 0.225 0.436
0.260 0.303 0.066
0.369 0.630 0.361
0.370 0.631 0.639
0.374 0.014 0.701
0.478 0.922 0.211
0.501 0.257 0.422
0.545 0.277 0.738
0.697 0.740 0.934
0.723 0.455 0.262
0.738 0.015 0.918
0.743 0.499 0.578
0.757 0.078 0.248
0.775 0.798 0.564
0.922 0.243 0.752
0.985 0.262 0.082
0.986 0.626 0.299

(4)
NaMgMnO2 | the Materials Project database | PBE+U | relaxed; electronic total energy = -5.6140 eV per atom; E (MP2020) = -6.2224 eV/atom; magnetic moment = 4.82 μB per formula unit; space-group type = R3m; V = 14.7 A^3/atom; excess energy over the best structure of this formula in the dataset = 1.1 kJ/mol of atoms
1.0
1.607 0.928 8.204
-1.607 0.928 8.204
0.000 -1.856 8.204
Na Mg Mn O
1 1 1 2
Direct
0.000 0.000 0.000
0.567 0.567 0.567
0.437 0.437 0.437
0.264 0.264 0.264
0.731 0.731 0.731

(5)
Li9Mn2Co5O16 | the Materials Project database | PBE+U | relaxed; electronic total energy = -5.7690 eV per atom; E (MP2020) = -6.4727 eV/atom; magnetic moment = 9.88 μB per formula unit; space-group type = P-1; V = 9.1 A^3/atom; excess energy over the best structure of this formula in the dataset = 8.3 kJ/mol of atoms
1.0
3.012 0.000 0.000
-0.110 5.005 0.000
-0.361 -0.927 19.373
Li Mn Co O
9 2 5 16
Direct
0.000 0.000 0.000
0.001 0.371 0.120
0.002 0.125 0.372
0.495 0.879 0.120
0.498 0.376 0.627
0.502 0.624 0.373
0.505 0.121 0.880
0.998 0.875 0.628
0.999 0.629 0.880
0.000 0.500 0.500
0.500 0.000 0.500
0.000 0.250 0.751
0.000 0.750 0.249
0.500 0.250 0.248
0.500 0.500 0.000
0.500 0.750 0.752
0.007 0.444 0.307
0.007 0.945 0.810
0.013 0.665 0.053
0.044 0.806 0.441
0.456 0.694 0.559
0.493 0.055 0.693
0.493 0.559 0.192
0.498 0.224 0.055
0.502 0.776 0.945
0.507 0.441 0.808
0.507 0.945 0.307
0.544 0.306 0.441
0.956 0.194 0.559
0.987 0.335 0.947
0.993 0.055 0.190
0.993 0.556 0.693

(6)
MgFe3Co5O16 | the Materials Project database | PBE+U | relaxed; electronic total energy = -5.9205 eV per atom; E (MP2020) = -6.9585 eV/atom; magnetic moment = 15.00 μB per formula unit; space-group type = P1; V = 10.3 A^3/atom; excess energy over the best structure of this formula in the dataset = 0.3 kJ/mol of atoms
1.0
5.818 0.000 0.000
-2.904 5.061 0.000
-0.278 -0.168 8.750
Mg Fe Co O
1 3 5 16
Direct
0.000 0.000 0.000
0.006 0.503 0.829
0.187 0.840 0.344
0.188 0.344 0.344
0.017 0.010 0.612
0.506 0.004 0.835
0.506 0.499 0.836
0.683 0.342 0.122
0.690 0.845 0.335
0.004 0.501 0.228
0.013 0.005 0.226
0.173 0.324 0.733
0.173 0.854 0.737
0.299 0.147 0.487
0.355 0.677 0.942
0.374 0.686 0.444
0.387 0.193 0.967
0.534 0.024 0.231
0.534 0.509 0.231
0.652 0.328 0.728
0.677 0.842 0.746
0.806 0.619 0.975
0.807 0.190 0.974
0.860 0.136 0.475
0.860 0.725 0.476

(7)
Li4VCr2Ni3P6O24 | the Materials Project database | PBE+U | relaxed; electronic total energy = -6.7641 eV per atom; E (MP2020) = -7.5093 eV/atom; magnetic moment = 15.00 μB per formula unit; space-group type = P1; V = 11.5 A^3/atom
1.0
8.393 0.000 0.000
3.872 7.571 0.000
3.989 2.503 7.226
Li V Cr Ni P O
4 1 2 3 6 24
Direct
0.000 0.000 0.000
0.101 0.862 0.507
0.213 0.356 0.452
0.642 0.561 0.799
0.210 0.563 0.004
0.367 0.710 0.155
0.849 0.214 0.651
0.002 0.362 0.804
0.499 0.861 0.298
0.714 0.069 0.502
0.107 0.155 0.195
0.299 0.959 0.689
0.414 0.457 0.601
0.604 0.262 0.112
0.800 0.760 0.902
0.911 0.672 0.402
0.041 0.180 0.045
0.104 0.124 0.713
0.119 0.629 0.252
0.177 0.316 0.146
0.257 0.953 0.225
0.258 0.385 0.636
0.270 0.812 0.896
0.305 0.894 0.549
0.372 0.525 0.756
0.419 0.619 0.409
0.457 0.474 0.068
0.471 0.008 0.640
0.525 0.115 0.153
0.602 0.787 0.053
0.609 0.304 0.587
0.660 0.242 0.264
0.754 0.732 0.329
0.762 0.276 0.915
0.812 0.949 0.740
0.826 0.610 0.835
0.906 0.816 0.463
0.916 0.474 0.560
0.958 0.704 0.979
0.960 0.140 0.393

(8)
MnCoO4 | the Materials Project database | PBE+U | relaxed; electronic total energy = -6.3775 eV per atom; E (MP2020) = -7.3865 eV/atom; magnetic moment = 4.15 μB per formula unit; space-group type = Imma; V = 9.4 A^3/atom
1.0
-2.937 3.114 3.078
2.937 -3.114 3.078
2.937 3.114 -3.078
Mn Co O
2 2 8
Direct
0.496 0.246 0.250
0.504 0.754 0.750
0.000 0.000 0.500
0.000 0.500 0.000
0.179 0.239 0.939
0.200 0.761 0.439
0.300 0.305 0.505
0.300 0.794 0.995
0.700 0.206 0.005
0.700 0.695 0.495
0.800 0.239 0.561
0.821 0.761 0.061